[1]
Material: FeAsSe
Method: DFT, PBE-GGA
State: relaxed

Unit cell a=5.867 b=5.944 c=5.983 alpha=66.82 beta=90.00 gamma=90.00
Sites, in units of the cell vectors:
Fe  0.999  0.724  0.291
Fe  0.001  0.276  0.709
Fe  0.501  0.724  0.791
Fe  0.499  0.276  0.209
Se  0.866  0.344  0.323
Se  0.134  0.656  0.677
Se  0.634  0.344  0.823
Se  0.366  0.656  0.177
As  0.363  0.142  0.624
As  0.137  0.142  0.124
As  0.863  0.858  0.876
As  0.637  0.858  0.376

Values from the calculation:
**Space-group type**: No. 14
**Energy with MP2020 corrections**: -6.02 eV per atom
**Energy of formation from the pure elements**: -0.479 eV per atom

[2]
Material: Li2Al
Method: DFT, PBE-GGA
State: relaxed

Unit cell a=5.332 b=5.332 c=4.443 alpha=90.00 beta=90.00 gamma=128.93
Sites, in units of the cell vectors:
Li  0.241  0.759  0.250
Li  0.409  0.591  0.750
Li  0.591  0.409  0.250
Li  0.759  0.241  0.750
Al  0.077  0.923  0.750
Al  0.923  0.077  0.250

Values from the calculation:
**Space-group type**: No. 63
**Energy of formation from the pure elements**: -0.163 eV per atom

[3]
Material: Na4TiZn3P2S4O24
Method: DFT, PBE-GGA
State: relaxed

Unit cell a=8.807 b=8.794 c=22.306 alpha=90.41 beta=90.06 gamma=120.01
Sites, in units of the cell vectors:
O  0.813  0.784  0.304
O  0.833  0.811  0.586
O  0.315  0.842  0.254
O  0.524  0.897  0.359
O  0.829  0.032  0.086
O  0.970  0.185  0.303
O  0.017  0.820  0.412
O  0.033  0.216  0.196
O  0.212  0.188  0.807
O  0.466  0.157  0.529
O  0.186  0.223  0.692
O  0.017  0.192  0.910
O  0.551  0.859  0.474
O  0.107  0.627  0.363
O  0.181  0.191  0.411
O  0.498  0.355  0.424
O  0.307  0.448  0.471
O  0.475  0.356  0.140
O  0.638  0.494  0.925
O  0.167  0.690  0.758
O  0.814  0.819  0.909
O  0.681  0.155  0.744
O  0.480  0.320  0.747
O  0.204  0.034  0.586
O  0.467  0.313  0.030
O  0.155  0.453  0.974
O  0.503  0.144  0.926
O  0.143  0.689  0.472
O  0.356  0.865  0.575
O  0.522  0.836  0.757
O  0.809  0.023  0.803
O  0.858  0.503  0.425
O  0.527  0.685  0.254
O  0.471  0.159  0.245
O  0.298  0.845  0.974
O  0.880  0.522  0.137
O  0.179  0.987  0.910
O  0.649  0.154  0.428
O  0.311  0.483  0.760
O  0.786  0.816  0.196
O  0.643  0.118  0.140
O  0.969  0.799  0.085
O  0.136  0.492  0.576
O  0.357  0.491  0.078
O  0.877  0.359  0.637
O  0.509  0.867  0.078
O  0.770  0.964  0.693
O  0.487  0.119  0.636
O  0.187  0.974  0.195
O  0.972  0.175  0.584
O  0.127  0.499  0.863
O  0.035  0.811  0.698
O  0.632  0.508  0.637
O  0.201  0.171  0.086
O  0.817  0.991  0.412
O  0.843  0.311  0.529
O  0.549  0.698  0.975
O  0.848  0.534  0.028
O  0.501  0.643  0.576
O  0.688  0.525  0.527
O  0.686  0.158  0.031
O  0.134  0.643  0.077
O  0.162  0.472  0.257
O  0.211  0.030  0.303
O  0.367  0.869  0.862
O  0.859  0.365  0.925
O  0.501  0.629  0.863
O  0.840  0.310  0.244
O  0.976  0.781  0.807
O  0.365  0.475  0.362
O  0.851  0.525  0.746
O  0.681  0.523  0.244
S  0.960  0.626  0.083
S  0.958  0.338  0.583
S  0.334  0.369  0.417
S  0.666  0.041  0.084
S  0.290  0.997  0.250
S  0.002  0.296  0.250
S  0.701  0.998  0.750
S  0.374  0.334  0.083
S  0.004  0.704  0.752
S  0.376  0.042  0.583
S  0.038  0.666  0.418
S  0.708  0.705  0.249
Na  0.324  0.297  0.913
Na  0.633  0.998  0.253
Na  0.328  0.665  0.669
Na  0.991  0.001  0.999
Na  0.323  0.666  0.162
Na  0.305  0.338  0.588
Na  0.976  0.678  0.914
Na  0.364  0.364  0.250
Na  0.667  0.960  0.583
Na  0.662  0.324  0.826
Na  0.991  0.986  0.497
Na  0.676  0.338  0.335
Zn  0.332  0.677  0.325
Zn  0.990  0.996  0.353
Zn  0.659  0.342  0.687
Zn  0.000  0.997  0.147
Zn  0.674  0.341  0.178
Zn  0.999  0.006  0.848
Zn  0.999  0.992  0.657
Zn  0.336  0.669  0.014
Zn  0.342  0.674  0.512
Ti  0.334  0.658  0.815
Ti  0.667  0.328  0.978
Ti  0.671  0.339  0.480
P  0.669  0.626  0.583
P  0.294  0.293  0.751
P  0.043  0.375  0.918
P  0.335  0.954  0.918
P  0.633  0.967  0.418
P  0.627  0.671  0.919

Values from the calculation:
**Magnetic moment**: 0.0 μB/f.u.
**Space-group type**: No. 1
**Energy with MP2020 corrections**: -6.54 eV per atom
**Energy of formation from the pure elements**: -2.246 eV per atom

[4]
Material: Ba4Eu4Zn3PtO15
Method: DFT, PBE-GGA
State: relaxed

Unit cell a=11.822 b=11.822 c=6.853 alpha=90.00 beta=90.00 gamma=120.00
Sites, in units of the cell vectors:
Ba  0.170  0.830  0.661
Ba  0.660  0.830  0.661
Ba  0.830  0.660  0.161
Ba  0.667  0.333  0.832
Ba  0.333  0.667  0.332
Ba  0.170  0.340  0.661
Ba  0.340  0.170  0.161
Ba  0.830  0.170  0.161
O  0.585  0.415  0.156
O  0.497  0.748  0.988
O  0.662  0.058  0.803
O  0.832  0.916  0.073
O  0.252  0.503  0.988
O  0.662  0.605  0.803
O  0.830  0.415  0.156
O  0.084  0.168  0.073
O  0.058  0.662  0.303
O  0.415  0.830  0.656
O  0.338  0.395  0.303
O  0.748  0.497  0.488
O  0.415  0.585  0.656
O  0.748  0.252  0.488
O  0.058  0.395  0.303
O  0.170  0.585  0.656
O  0.605  0.662  0.303
O  0.395  0.338  0.803
O  0.503  0.252  0.488
O  0.252  0.748  0.988
O  0.084  0.916  0.073
O  0.942  0.605  0.803
O  0.395  0.058  0.803
O  0.585  0.170  0.156
O  0.942  0.338  0.803
O  0.605  0.942  0.303
O  0.338  0.942  0.303
O  0.168  0.084  0.573
O  0.916  0.832  0.573
O  0.916  0.084  0.573
Eu  0.480  0.520  0.006
Eu  0.000  0.000  0.341
Eu  0.480  0.960  0.006
Eu  0.960  0.480  0.506
Eu  0.000  0.000  0.841
Eu  0.520  0.040  0.506
Eu  0.520  0.480  0.506
Eu  0.040  0.520  0.006
Zn  0.656  0.828  0.175
Zn  0.172  0.344  0.175
Zn  0.344  0.172  0.675
Zn  0.172  0.828  0.175
Zn  0.828  0.172  0.675
Zn  0.828  0.656  0.675
Pt  0.333  0.667  0.817
Pt  0.667  0.333  0.317

Values from the calculation:
**Magnetic moment**: 24.0 μB/f.u.
**Space-group type**: No. 186
**Energy with MP2020 corrections**: -7.49 eV per atom
**Energy of formation from the pure elements**: -2.569 eV per atom

[5]
Material: AgI
Method: DFT, PBE-GGA
State: relaxed

Unit cell a=4.350 b=4.396 c=6.097 alpha=90.00 beta=88.43 gamma=90.00
Sites, in units of the cell vectors:
Ag  0.819  0.750  0.223
Ag  0.181  0.250  0.777
I  0.718  0.750  0.741
I  0.282  0.250  0.259

Values from the calculation:
**Magnetic moment**: 0.0 μB/f.u.
**Space-group type**: No. 11
**Energy with MP2020 corrections**: -2.55 eV per atom
**Energy of formation from the pure elements**: -0.367 eV per atom

[6]
Material: VSb2
Method: DFT, PBE-GGA
State: relaxed

Unit cell a=5.448 b=5.448 c=5.448 alpha=105.36 beta=105.36 gamma=118.06
Sites, in units of the cell vectors:
Sb  0.657  0.843  0.500
Sb  0.157  0.657  0.814
Sb  0.343  0.157  0.500
Sb  0.843  0.343  0.186
V  0.250  0.250  0.000
V  0.750  0.750  0.000

Values from the calculation:
**Space-group type**: No. 140
**Energy with MP2020 corrections**: -5.97 eV per atom
**Energy of formation from the pure elements**: -0.191 eV per atom

[7]
Material: K2Zr2CuO6F12
Method: DFT, PBE-GGA
State: relaxed

Unit cell a=9.485 b=7.193 c=12.293 alpha=63.96 beta=90.00 gamma=90.00
Sites, in units of the cell vectors:
O  0.873  0.033  0.881
O  0.627  0.033  0.381
O  0.656  0.083  0.594
O  0.897  0.764  0.047
O  0.397  0.236  0.453
O  0.156  0.917  0.906
O  0.103  0.236  0.953
O  0.373  0.967  0.619
O  0.603  0.764  0.547
O  0.344  0.917  0.406
O  0.844  0.083  0.094
O  0.127  0.967  0.119
F  0.047  0.379  0.159
F  0.526  0.951  0.797
F  0.758  0.811  0.695
F  0.943  0.596  0.599
F  0.879  0.035  0.500
F  0.547  0.621  0.341
F  0.121  0.965  0.500
F  0.557  0.596  0.099
F  0.443  0.404  0.901
F  0.974  0.951  0.297
F  0.820  0.326  0.295
F  0.320  0.674  0.205
F  0.379  0.965  0.000
F  0.057  0.404  0.401
F  0.742  0.811  0.195
F  0.453  0.379  0.659
F  0.621  0.035  0.000
F  0.474  0.049  0.203
F  0.680  0.326  0.795
F  0.180  0.674  0.705
F  0.242  0.189  0.305
F  0.026  0.049  0.703
F  0.258  0.189  0.805
F  0.953  0.621  0.841
K  0.312  0.418  0.081
K  0.188  0.418  0.581
K  0.812  0.582  0.419
K  0.688  0.582  0.919
Cu  0.500  0.000  0.500
Cu  0.000  0.000  0.000
Zr  0.988  0.803  0.664
Zr  0.512  0.803  0.164
Zr  0.488  0.197  0.836
Zr  0.012  0.197  0.336

Values from the calculation:
**Magnetic moment**: 11.0 μB/f.u.
**Space-group type**: No. 14
**Energy with MP2020 corrections**: -5.41 eV per atom
**Energy of formation from the pure elements**: -2.104 eV per atom

[8]
Material: Mg2Cd
Method: DFT, PBE-GGA
State: relaxed

Unit cell a=3.150 b=3.150 c=15.694 alpha=90.00 beta=90.00 gamma=120.00
Sites, in units of the cell vectors:
Cd  0.000  0.000  0.666
Cd  0.000  0.000  0.334
Mg  0.667  0.333  0.831
Mg  0.667  0.333  0.169
Mg  0.000  0.000  0.000
Mg  0.667  0.333  0.500

Values from the calculation:
**Magnetic moment**: 0.0 μB/f.u.
**Space-group type**: No. 187
**Energy of formation from the pure elements**: -0.010 eV per atom

[9]
Material: Al2O3
Method: DFT, PBE-GGA
State: relaxed

Unit cell a=10.556 b=10.392 c=10.343 alpha=91.54 beta=89.06 gamma=84.58
Sites, in units of the cell vectors:
O  0.652  0.598  0.944
O  0.469  0.018  0.756
O  0.892  0.731  0.959
O  0.237  0.342  0.034
O  0.394  0.293  0.226
O  0.611  0.271  0.501
O  0.148  0.643  0.437
O  0.899  0.559  0.421
O  0.998  0.580  0.641
O  0.757  0.900  0.840
O  0.491  0.724  0.782
O  0.563  0.471  0.303
O  0.827  0.340  0.292
O  0.609  0.833  0.039
O  0.292  0.393  0.525
O  0.095  0.480  0.904
O  0.998  0.234  0.023
O  0.523  0.045  0.426
O  0.429  0.018  0.176
O  0.049  0.303  0.750
O  0.411  0.583  0.564
O  0.259  0.145  0.330
O  0.688  0.177  0.719
O  0.959  0.826  0.704
O  0.671  0.523  0.507
O  0.641  0.155  0.225
O  0.762  0.882  0.262
O  0.213  0.917  0.761
O  0.063  0.355  0.237
O  0.718  0.653  0.261
O  0.500  0.783  0.302
O  0.012  0.078  0.589
O  0.359  0.911  0.945
O  0.233  0.154  0.863
O  0.980  0.028  0.271
O  0.891  0.501  0.065
O  0.561  0.478  0.734
O  0.736  0.327  0.025
O  0.262  0.127  0.597
O  0.741  0.678  0.688
O  0.040  0.958  0.957
O  0.806  0.077  0.432
O  0.104  0.878  0.493
O  0.681  0.958  0.621
O  0.166  0.629  0.077
O  0.432  0.289  0.715
O  0.854  0.357  0.550
O  0.993  0.701  0.225
O  0.182  0.084  0.104
O  0.073  0.297  0.478
O  0.589  0.088  0.958
O  0.313  0.557  0.281
O  0.838  0.465  0.790
O  0.425  0.515  0.037
O  0.884  0.806  0.479
O  0.230  0.840  0.246
O  0.831  0.074  0.088
O  0.327  0.533  0.822
O  0.356  0.882  0.571
O  0.585  0.750  0.513
Al  0.435  0.456  0.198
Al  0.489  0.576  0.886
Al  0.592  0.631  0.376
Al  0.639  0.033  0.785
Al  0.252  0.505  0.978
Al  0.172  0.689  0.252
Al  0.689  0.379  0.398
Al  0.979  0.245  0.609
Al  0.691  0.174  0.058
Al  0.491  0.968  0.021
Al  0.292  0.548  0.450
Al  0.718  0.748  0.916
Al  0.772  0.466  0.946
Al  0.375  0.454  0.672
Al  0.995  0.628  0.064
Al  0.038  0.730  0.553
Al  0.385  0.868  0.752
Al  0.637  0.800  0.204
Al  0.003  0.069  0.098
Al  0.572  0.635  0.637
Al  0.188  0.972  0.599
Al  0.481  0.142  0.282
Al  0.934  0.867  0.868
Al  0.597  0.314  0.674
Al  0.204  0.996  0.922
Al  0.218  0.262  0.183
Al  0.859  0.710  0.330
Al  0.662  0.096  0.521
Al  0.266  0.992  0.226
Al  0.233  0.242  0.478
Al  0.351  0.151  0.739
Al  0.002  0.474  0.768
Al  0.481  0.879  0.456
Al  0.967  0.987  0.446
Al  0.962  0.394  0.387
Al  0.797  0.827  0.638
Al  0.798  0.043  0.259
Al  0.831  0.534  0.592
Al  0.119  0.291  0.915
Al  0.913  0.348  0.137

Values from the calculation:
**Magnetic moment**: 0.0 μB/f.u.
**Space-group type**: No. 1
**Energy with MP2020 corrections**: -7.72 eV per atom
**Energy of formation from the pure elements**: -3.250 eV per atom

[10]
Material: Sr2Mg
Method: DFT, PBE-GGA
State: relaxed

Unit cell a=10.234 b=10.234 c=6.253 alpha=90.00 beta=90.00 gamma=156.85
Sites, in units of the cell vectors:
Mg  0.560  0.440  0.750
Mg  0.440  0.560  0.250
Sr  0.916  0.084  0.750
Sr  0.211  0.789  0.750
Sr  0.084  0.916  0.250
Sr  0.789  0.211  0.250

Values from the calculation:
**Magnetic moment**: 0.0 μB/f.u.
**Space-group type**: No. 63
**Energy of formation from the pure elements**: 0.033 eV per atom

Electronic total energy, respectively: -70.4 -16.1 -695.9 -383.7 -9.4 -35.1 -229.6 -8.3 -730.4 -9.8 eV/cell.